Computed, not measured: an optimized crystal structure of Nd3MnGaS7 at the GGA-PBE level of DFT.

```
Nd3MnGaS7
1.0
-6.7227 7.4363 -1.0681
-0.0405 -5.6734 8.3334
3.8513 3.8621 2.6480
S Nd Mn Ga
14 6 2 2
direct
0.2381 0.1478 0.7855
0.1478 0.9097 0.2855
0.3333 0.6667 0.5418
0.0903 0.2381 0.2855
0.6667 0.3333 0.0418
0.5801 0.4837 0.5165
0.7619 0.8522 0.2855
0.9097 0.7619 0.7855
0.4837 0.9036 0.0165
0.8522 0.0903 0.7855
0.9036 0.4199 0.5165
0.5163 0.0964 0.5165
0.0964 0.5801 0.0165
0.4199 0.5163 0.0165
0.7656 0.1402 0.2485
0.1402 0.3746 0.7485
0.3746 0.2344 0.2485
0.8598 0.6254 0.2485
0.2344 0.8598 0.7485
0.6254 0.7656 0.7485
0.0000 0.0000 0.5238
0.0000 0.0000 0.0238
0.6667 0.3333 0.6709
0.3333 0.6667 0.1709
```

Computed properties:
E_tot: -6.16 eV/atom
calculated volume: 22.235 A^3/atom
magnetization: 5.0 μB/f.u.
corrected total energy (MP2020 scheme): -77.4 eV/f.u.
calculated density: 4.9 g/cm³

---

Computed, not measured: an optimized crystal structure of Li6Hf2O7 at the GGA-PBE level of DFT.

```
Li6Hf2O7
1.0
-2.7183 -2.1134 -4.9469
3.2148 -1.2374 -4.9458
1.4730 -9.9784 1.5210
Hf O Li
4 14 12
direct
0.5607 0.8065 0.1353
0.1935 0.4393 0.3647
0.8065 0.5607 0.6353
0.4393 0.1935 0.8647
0.3499 0.6501 0.2500
0.6501 0.3499 0.7500
0.5012 0.7427 0.5235
0.7427 0.5012 0.0235
0.3614 0.1383 0.2455
0.0004 0.2676 0.4978
0.8617 0.6386 0.2545
0.6386 0.8617 0.7545
0.1383 0.3614 0.7455
0.2573 0.4988 0.9765
0.4988 0.2573 0.4765
0.9996 0.7324 0.5022
0.2676 0.0004 0.9978
0.7324 0.9996 0.0022
0.2064 0.9184 0.4148
0.3363 0.0774 0.6048
0.4685 0.6643 0.8967
0.6637 0.9226 0.3952
0.0774 0.3363 0.1048
0.3357 0.5315 0.6033
0.5315 0.3357 0.1033
0.9184 0.2064 0.9148
0.9226 0.6637 0.8952
0.7936 0.0816 0.5852
0.0816 0.7936 0.0852
0.6643 0.4685 0.3967
```

Computed properties:
E_tot: -7.05 eV/atom
calculated volume: 10.489 A^3/atom
corrected total energy (MP2020 scheme): -110.5 eV/f.u.
calculated density: 5.4 g/cm³

---

Energy relative to the elements, record by record: -1828 -2968 meV per atom